Density functional theory data (PBE-GGA) for a relaxed CuP3H16C3NO12 crystal.

Values from the calculation:
Mass density in g/cm3: 2.0
DFT formation energy in eV/atom: -1.21
Energy in eV/atom: -5.7049
Total magnetic moment in μB per atom: 0.029

Cell: 9.2589 16.3349 9.6049 Å, 90.00 112.28 90.00°
Last column: nearest neighbours and their distance in Å.
Fractional positions:
Cu1 0.4636 0.2909 0.3337  4 O 1.95-2.02
Cu2 0.5364 0.7909 0.1663  4 O 1.95-2.02
Cu3 0.5364 0.7091 0.6663  4 O 1.95-2.02
Cu4 0.4636 0.2091 0.8337  4 O 1.95-2.02
P1 0.8321 0.2089 0.5291  3 O 1.51-1.60
P2 0.1679 0.7089 0.9709  3 O 1.51-1.60
P3 0.1679 0.7911 0.4709  3 O 1.51-1.60
P4 0.8321 0.2911 0.0291  3 O 1.51-1.60
P5 0.0610 0.4641 0.7742  3 O 1.52-1.58
P6 0.9390 0.9641 0.7258  3 O 1.52-1.58
P7 0.9390 0.5359 0.2258  3 O 1.52-1.58
P8 0.0610 0.0359 0.2742  3 O 1.52-1.58
P9 0.4716 0.3768 0.6275  3 O 1.51-1.58
P10 0.5284 0.8768 0.8725  3 O 1.51-1.58
P11 0.5284 0.6232 0.3725  3 O 1.51-1.58
P12 0.4716 0.1232 0.1275  3 O 1.51-1.58
H1 0.7580 0.2030 0.2565  1 C 1.10
H2 0.2420 0.7030 0.2435  1 C 1.10
H3 0.2420 0.7970 0.7435  1 C 1.10
H4 0.7580 0.2970 0.7565  1 C 1.10
H5 0.9547 0.1723 0.3585  1 C 1.10
H6 0.0453 0.6723 0.1415  1 C 1.10
H7 0.0453 0.8277 0.6415  1 C 1.10
H8 0.9547 0.3277 0.8585  1 C 1.10
H9 0.7935 0.4283 0.6036  1 C 1.10
H10 0.2065 0.9283 0.8964  1 C 1.10
H11 0.2065 0.5717 0.3964  1 C 1.10
H12 0.7935 0.0717 0.1036  1 C 1.10
H13 0.8035 0.5231 0.6966  1 C 1.10
H14 0.1965 0.0231 0.8034  1 C 1.10
H15 0.1965 0.4769 0.3034  1 C 1.10
H16 0.8035 0.9769 0.1966  1 C 1.10
H17 0.5958 0.5021 0.7479  1 C 1.10
H18 0.4042 0.0021 0.7521  1 C 1.10
H19 0.4042 0.4979 0.2521  1 C 1.10
H20 0.5958 0.9979 0.2479  1 C 1.10
H21 0.5905 0.4265 0.8804  1 C 1.10
H22 0.4095 0.9265 0.6196  1 C 1.10
H23 0.4095 0.5735 0.1196  1 C 1.10
H24 0.5905 0.0735 0.3804  1 C 1.10
H25 0.0723 0.5966 0.7512  1 O 1.03
H26 0.9277 0.0966 0.7488  1 O 1.03
H27 0.9277 0.4034 0.2488  1 O 1.03
H28 0.0723 0.9034 0.2512  1 O 1.03
H29 0.2419 0.4127 0.6363  1 O 1.02
H30 0.7581 0.9127 0.8637  1 O 1.02
H31 0.7581 0.5873 0.3637  1 O 1.02
H32 0.2419 0.0873 0.1363  1 O 1.02
H33 0.9754 0.3253 0.5839  1 O 1.00
H34 0.0246 0.8253 0.9161  1 O 1.00
H35 0.0246 0.6747 0.4161  1 O 1.00
H36 0.9754 0.1747 0.0839  1 O 1.00
H37 0.6857 0.3792 0.3192  1 O 0.98
H38 0.3143 0.8792 0.1808  1 O 0.98
H39 0.3143 0.6208 0.6808  1 O 0.98
H40 0.6857 0.1208 0.8192  1 O 0.98
H41 0.6179 0.3323 0.1623  1 O 1.01
H42 0.3821 0.8323 0.3377  1 O 1.01
H43 0.3821 0.6677 0.8377  1 O 1.01
H44 0.6179 0.1677 0.6623  1 O 1.01
H45 0.2131 0.3929 0.0691  1 O 0.99
H46 0.7869 0.8929 0.4309  1 O 0.99
H47 0.7869 0.6071 0.9309  1 O 0.99
H48 0.2131 0.1071 0.5691  1 O 0.99
H49 0.1465 0.3342 0.1589  1 O 0.99
H50 0.8535 0.8342 0.3411  1 O 0.99
H51 0.8535 0.6658 0.8411  1 O 0.99
H52 0.1465 0.1658 0.6589  1 O 0.99
H53 0.2450 0.1859 0.3291  1 O 0.99
H54 0.7550 0.6859 0.1709  1 O 0.99
H55 0.7550 0.8141 0.6709  1 O 0.99
H56 0.2450 0.3141 0.8291  1 O 0.99
H57 0.3167 0.2236 0.4963  1 O 0.99
H58 0.6833 0.7236 0.0037  1 O 0.99
H59 0.6833 0.7764 0.5037  1 O 0.99
H60 0.3167 0.2764 0.9963  1 O 0.99
H61 0.8408 0.4555 0.9244  1 N 1.06
H62 0.1592 0.9555 0.5756  1 N 1.06
H63 0.1592 0.5445 0.0756  1 N 1.06
H64 0.8408 0.0445 0.4244  1 N 1.06
C1 0.8344 0.1668 0.3524  2 H 1.10
C2 0.1656 0.6668 0.1476  2 H 1.10
C3 0.1656 0.8332 0.6476  2 H 1.10
C4 0.8344 0.3332 0.8524  2 H 1.10
C5 0.8464 0.4599 0.7117  2 H 1.10
C6 0.1536 0.9599 0.7883  2 H 1.10
C7 0.1536 0.5401 0.2883  2 H 1.10
C8 0.8464 0.0401 0.2117  2 H 1.10
C9 0.6156 0.4373 0.7790  2 H 1.10
C10 0.3844 0.9373 0.7210  2 H 1.10
C11 0.3844 0.5627 0.2210  2 H 1.10
C12 0.6156 0.0627 0.2790  2 H 1.10
N1 0.7883 0.4216 0.8231  1 H 1.06
N2 0.2117 0.9216 0.6769  1 H 1.06
N3 0.2117 0.5784 0.1769  1 H 1.06
N4 0.7883 0.0784 0.3231  1 H 1.06
O1 0.6692 0.2037 0.5283  1 P 1.51, 1 H 1.64
O2 0.3308 0.7037 0.9717  1 P 1.51, 1 H 1.64
O3 0.3308 0.7963 0.4717  1 P 1.51, 1 H 1.64
O4 0.6692 0.2963 0.0283  1 P 1.51, 1 H 1.64
O5 0.8761 0.3017 0.5098  1 H 1.00
O6 0.1239 0.8017 0.9902  1 H 1.00
O7 0.1239 0.6983 0.4902  1 H 1.00
O8 0.8761 0.1983 0.0098  1 H 1.00
O9 0.9610 0.1688 0.6619  1 P 1.52, 1 H 1.54
O10 0.0390 0.6688 0.8381  1 P 1.52, 1 H 1.54
O11 0.0390 0.8312 0.3381  1 P 1.52, 1 H 1.54
O12 0.9610 0.3312 0.1619  1 P 1.52, 1 H 1.54
O13 0.1297 0.4699 0.9447  1 P 1.52, 1 H 1.70
O14 0.8703 0.9699 0.5553  1 P 1.52, 1 H 1.70
O15 0.8703 0.5301 0.0553  1 P 1.52, 1 H 1.70
O16 0.1297 0.0301 0.4447  1 P 1.52, 1 H 1.70
O17 0.1165 0.3908 0.7071  1 P 1.54, 1 H 1.59
O18 0.8835 0.8908 0.7929  1 P 1.54, 1 H 1.59
O19 0.8835 0.6092 0.2929  1 P 1.54, 1 H 1.59
O20 0.1165 0.1092 0.2071  1 P 1.54, 1 H 1.59
O21 0.0903 0.5448 0.6980  1 H 1.03
O22 0.9097 0.0448 0.8020  1 H 1.03
O23 0.9097 0.4552 0.3020  1 H 1.03
O24 0.0903 0.9552 0.1980  1 H 1.03
O25 0.5170 0.3765 0.4906  1 P 1.53
O26 0.4830 0.8765 0.0094  1 P 1.53
O27 0.4830 0.6235 0.5094  1 P 1.53
O28 0.5170 0.1235 0.9906  1 P 1.53
O29 0.3200 0.4306 0.5910  1 H 1.02
O30 0.6800 0.9306 0.9090  1 H 1.02
O31 0.6800 0.5694 0.4090  1 H 1.02
O32 0.3200 0.0694 0.0910  1 H 1.02
O33 0.4511 0.2069 0.1849  1 P 1.51
O34 0.5489 0.7069 0.3151  1 P 1.51
O35 0.5489 0.7931 0.8151  1 P 1.51
O36 0.4511 0.2931 0.6849  1 P 1.51
O37 0.5887 0.3590 0.2431  2 H 0.98-1.01
O38 0.4113 0.8590 0.2569  2 H 0.98-1.01
O39 0.4113 0.6410 0.7569  2 H 0.98-1.01
O40 0.5887 0.1410 0.7431  2 H 0.98-1.01
O41 0.2420 0.3453 0.1383  2 H 0.99
O42 0.7580 0.8453 0.3617  2 H 0.99
O43 0.7580 0.6547 0.8617  2 H 0.99
O44 0.2420 0.1547 0.6383  2 H 0.99
O45 0.3017 0.2333 0.3902  2 H 0.99
O46 0.6983 0.7333 0.1098  2 H 0.99
O47 0.6983 0.7667 0.6098  2 H 0.99
O48 0.3017 0.2667 0.8902  2 H 0.99